Record 1
16
Lattice="6.4737 0.0000 0.0000 0.0000 6.4737 0.0000 0.0000 0.0000 6.4737" Properties=species:S:1:pos:R:3 comment="Sc2OsPt, optimized geometry, DFT meta-GGA r2SCAN" e_form_mev_per_atom=-925 e_tot_ev_per_atom=-32.74 pbc="T T T"
Sc 1.6184 1.6184 1.6184
Sc 1.6184 1.6184 4.8553
Sc 1.6184 4.8553 1.6184
Sc 1.6184 4.8553 4.8553
Sc 4.8553 1.6184 1.6184
Sc 4.8553 1.6184 4.8553
Sc 4.8553 4.8553 1.6184
Sc 4.8553 4.8553 4.8553
Os 0.0000 0.0000 0.0000
Os 0.0000 3.2369 3.2369
Os 3.2369 0.0000 3.2369
Os 3.2369 3.2369 0.0000
Pt 0.0000 0.0000 3.2369
Pt 0.0000 3.2369 0.0000
Pt 3.2369 0.0000 0.0000
Pt 3.2369 3.2369 3.2369



Record 2
5
Lattice="4.2280 0.0000 0.0000 -2.1140 3.6615 0.0000 0.0000 0.0000 7.4707" Properties=species:S:1:pos:R:3 comment="SrAl2Ge2, optimized geometry, DFT meta-GGA r2SCAN" e_form_mev_per_atom=-482 e_tot_ev_per_atom=-11.75 pbc="T T T"
Sr 0.0000 0.0000 0.0000
Al 0.0000 2.4410 4.6609
Al 2.1140 1.2205 2.8099
Ge 0.0000 2.4410 2.0473
Ge 2.1140 1.2205 5.4234



Record 3
16
Lattice="4.3528 0.0000 0.0000 0.0000 17.4741 0.0000 0.0000 0.0000 4.2979" Properties=species:S:1:pos:R:3 comment="LaSi2Ag, optimized geometry, DFT meta-GGA r2SCAN" e_form_mev_per_atom=-587 e_tot_ev_per_atom=-17.75 pbc="T T T"
La 0.0000 1.7259 1.0745
La 0.0000 15.7481 3.2234
La 2.1764 7.0111 3.2234
La 2.1764 10.4630 1.0745
Si 0.0000 5.8391 1.0745
Si 0.0000 8.1784 1.0745
Si 0.0000 9.2957 3.2234
Si 0.0000 11.6350 3.2234
Si 2.1764 0.5586 3.2234
Si 2.1764 2.8980 3.2234
Si 2.1764 14.5761 1.0745
Si 2.1764 16.9154 1.0745
Ag 0.0000 4.3298 3.2234
Ag 0.0000 13.1443 1.0745
Ag 2.1764 4.4073 1.0745
Ag 2.1764 13.0668 3.2234



Record 4
14
Lattice="3.9760 0.0000 0.0000 0.0000 3.9760 0.0000 0.0000 0.0000 12.5198" Properties=species:S:1:pos:R:3 comment="La3NdCu2O8, optimized geometry, DFT meta-GGA r2SCAN" e_form_mev_per_atom=-2898 e_tot_ev_per_atom=-16.34 pbc="T T T"
La 0.0000 0.0000 0.0000
La 0.0000 0.0000 3.7464
La 1.9880 1.9880 6.3125
Nd 1.9880 1.9880 10.0064
Cu 0.0000 0.0000 8.1949
Cu 1.9880 1.9880 1.8741
O 0.0000 1.9880 1.8798
O 0.0000 1.9880 5.0323
O 0.0000 1.9880 8.1955
O 0.0000 1.9880 11.2413
O 1.9880 0.0000 1.8798
O 1.9880 0.0000 5.0323
O 1.9880 0.0000 8.1955
O 1.9880 0.0000 11.2413



Record 5
6
Lattice="4.8922 0.0000 0.0000 0.0000 5.9887 0.0000 0.0000 0.0000 3.6499" Properties=species:S:1:pos:R:3 comment="NiSe2, optimized geometry, DFT meta-GGA r2SCAN" e_form_mev_per_atom=-258 e_tot_ev_per_atom=-13.79 pbc="T T T"
Ni 0.0000 0.0000 0.0000
Ni 2.4461 2.9943 1.8250
Se 1.0085 2.2571 0.0000
Se 1.4376 5.2515 1.8250
Se 3.4546 0.7372 1.8250
Se 3.8837 3.7316 0.0000



Record 6
12
Lattice="2.6665 -4.4648 0.0000 2.6665 4.4648 0.0000 -2.0109 0.0000 4.9349" Properties=species:S:1:pos:R:3 comment="Li2HfO3, optimized geometry, DFT meta-GGA r2SCAN" e_form_mev_per_atom=-3094 e_tot_ev_per_atom=-14.40 pbc="T T T"
Li 1.6610 3.7926 2.4675
Li 0.6794 2.3062 4.9247
Li 1.6848 -2.3062 2.4573
Li 2.6665 -3.7926 0.0000
Hf 1.6761 0.8151 2.4513
Hf 0.6707 -0.8151 4.9188
O 0.8435 2.2326 1.2203
O -0.0253 0.6756 3.6222
O 0.9802 -0.6756 1.1548
O -0.1619 -2.2326 3.6877
O 3.3798 0.6769 1.2805
O 2.3744 -0.6769 3.7479



Record 7
16
Lattice="7.8316 0.0000 0.0000 -3.9158 6.7824 0.0000 0.0000 0.0000 5.4416" Properties=species:S:1:pos:R:3 comment="Hf3Ti2Ga3, optimized geometry, DFT meta-GGA r2SCAN" e_form_mev_per_atom=-561 e_tot_ev_per_atom=-25.02 pbc="T T T"
Hf -0.9479 1.6418 1.3604
Hf -2.9679 5.1406 4.0812
Hf 1.8958 0.0000 1.3604
Hf 0.9479 1.6418 4.0812
Hf 5.9358 0.0000 4.0812
Hf 2.9679 5.1406 1.3604
Ti 0.0000 4.5216 0.0000
Ti 0.0000 4.5216 2.7208
Ti 3.9158 2.2608 0.0000
Ti 3.9158 2.2608 2.7208
Ga -1.5645 2.7098 4.0812
Ga -2.3513 4.0726 1.3604
Ga 3.1290 0.0000 4.0812
Ga 1.5645 2.7098 1.3604
Ga 4.7026 0.0000 1.3604
Ga 2.3513 4.0726 4.0812



Record 8
12
Lattice="7.6469 0.0000 0.0000 0.0000 4.0172 0.0000 0.0000 0.0000 6.9065" Properties=species:S:1:pos:R:3 comment="PrAl4Co, optimized geometry, DFT meta-GGA r2SCAN" e_form_mev_per_atom=-505 e_tot_ev_per_atom=-12.10 pbc="T T T"
Pr 1.9117 0.0000 0.7916
Pr 5.7352 0.0000 6.1149
Al 0.0000 0.0000 3.4533
Al 0.5451 2.0086 5.4893
Al 1.9117 2.0086 3.1706
Al 3.2784 2.0086 5.4893
Al 3.8235 0.0000 3.4533
Al 4.3686 2.0086 1.4172
Al 5.7352 2.0086 3.7359
Al 7.1018 2.0086 1.4172
Co 1.9117 0.0000 4.7136
Co 5.7352 0.0000 2.1929